4
Lattice="0.000 3.441 3.441 3.441 0.000 3.441 3.441 3.441 0.000" Properties=species:S:1:pos:R:3 comment="Er2ZnOs, optimized geometry, DFT GGA-PBE" total_energy_ev_per_fu=-22.93 pbc="T T T"
Er 5.162 5.162 5.162
Zn 0.000 0.000 0.000
Er 1.721 1.721 1.721
Os 3.441 3.441 3.441

18
Lattice="5.350 0.000 0.000 0.000 5.350 0.000 0.000 0.000 7.483" Properties=species:S:1:pos:R:3 comment="GdB4Rh4, optimized geometry, DFT GGA-PBE" magmom_total_mub_per_cell=14.46 total_energy_ev_per_fu=-75.35 pbc="T T T"
Rh 2.675 1.344 1.077
B 4.447 2.675 1.135
Rh 0.000 4.019 2.665
B 0.903 2.675 1.135
Rh 1.331 0.000 4.818
Gd 0.000 0.000 0.000
B 2.675 0.903 6.348
B 3.579 0.000 2.607
B 2.675 4.447 6.348
Rh 0.000 1.331 2.665
B 0.000 3.579 4.876
B 0.000 1.772 4.876
Rh 4.019 0.000 4.818
Rh 4.006 2.675 6.406
Gd 2.675 2.675 3.741
Rh 2.675 4.006 1.077
Rh 1.344 2.675 6.406
B 1.772 0.000 2.607

4
Lattice="-1.859 1.859 3.925 1.859 -1.859 3.925 1.859 1.859 -3.925" Properties=species:S:1:pos:R:3 comment="CuRu3, optimized geometry, DFT GGA-PBE" magmom_total_mub_per_cell=0.04 total_energy_ev_per_fu=-30.82 pbc="T T T"
Cu 0.000 0.000 0.000
Ru 0.000 0.000 3.925
Ru 0.000 1.859 1.963
Ru 1.859 0.000 1.963

18
Lattice="1.367 5.505 -0.128 4.966 -1.333 2.398 3.230 -0.970 -7.229" Properties=species:S:1:pos:R:3 comment="KPrNb4O12, optimized geometry, DFT GGA-PBE" magmom_total_mub_per_cell=0.00 total_energy_ev_per_fu=-152.88 pbc="T T T"
O 0.805 2.830 -0.020
K 4.959 -1.320 2.393
O 6.969 2.282 -3.658
O 3.730 4.758 1.028
O 4.306 -1.000 -2.343
O 4.135 0.415 -4.673
O 6.620 -0.522 -3.707
Nb 6.385 1.258 0.501
Nb 3.254 -0.805 -0.622
O 3.205 3.512 -1.595
O 4.560 3.105 -4.626
O 7.046 0.804 -1.361
O 2.620 0.870 -1.283
Nb 4.882 -1.294 -4.264
O 5.455 2.737 -0.268
Nb 8.013 0.769 -3.142
O 4.907 -0.007 0.126
Pr 4.737 1.685 -2.511

12
Lattice="2.787 -3.979 -3.330 -2.363 -3.655 2.389 -4.358 0.244 -3.939" Properties=species:S:1:pos:R:3 comment="CeUC4, optimized geometry, DFT GGA-PBE" magmom_total_mub_per_cell=0.05 total_energy_ev_per_fu=-54.91 pbc="T T T"
Ce 0.212 -3.817 -0.470
C -5.022 -1.632 -2.309
U -3.361 -1.706 -0.775
C -2.100 -7.061 -2.562
Ce 0.000 0.000 0.000
U -0.785 -1.868 -3.635
C -2.251 -3.248 -2.036
C -4.839 -5.407 -2.745
C -1.833 -0.329 -2.318
C 1.089 -5.759 -2.571
C 0.905 -1.983 -2.135
C -1.683 -4.143 -2.844

4
Lattice="-3.030 3.030 6.346 3.030 -3.030 6.346 3.030 3.030 -6.346" Properties=species:S:1:pos:R:3 comment="KSr3, optimized geometry, DFT GGA-PBE" magmom_total_mub_per_cell=0.03 total_energy_ev_per_fu=-5.78 relative_energy_mev_per_atom=0 pbc="T T T"
K 0.000 0.000 0.000
Sr 0.000 0.000 6.346
Sr 0.000 3.030 3.173
Sr 3.030 0.000 3.173

18
Lattice="-1.957 0.193 -2.956 1.775 -5.066 -1.506 -8.317 -4.465 5.215" Properties=species:S:1:pos:R:3 comment="Mg2Ti2O5, optimized geometry, DFT GGA-PBE" magmom_total_mub_per_cell=3.89 total_energy_ev_per_fu=-66.51 relative_energy_mev_per_atom=55 pbc="T T T"
O -1.007 -5.759 0.292
Ti -6.764 -5.041 4.150
Ti -3.992 -6.563 2.215
Mg -5.601 -3.656 1.338
O -0.961 -2.724 0.459
O -5.534 -3.772 3.418
O -3.271 -4.766 1.855
Ti -2.549 -2.969 1.494
Mg -2.897 -5.683 -0.584
O -5.581 -6.807 3.251
O -4.112 -2.584 0.422
O 0.000 0.000 0.000
Mg -1.304 -1.818 -1.387
O -4.386 -6.754 0.332
O -0.526 -3.669 -2.023
O -7.972 -5.670 2.776
Mg -7.194 -7.521 2.141
Ti 0.222 -4.490 -0.440

10
Lattice="0.403 1.797 2.543 1.361 0.795 -2.716 -13.596 9.095 -2.333" Properties=species:S:1:pos:R:3 comment="Al5BiN4, optimized geometry, DFT GGA-PBE" magmom_total_mub_per_cell=0.00 total_energy_ev_per_fu=-65.60 pbc="T T T"
Al -7.094 6.744 0.236
N -2.517 3.724 1.644
N -5.960 5.749 -3.118
Al -0.953 2.692 2.126
Al -8.838 7.772 -2.152
N -8.652 7.772 -0.244
Al -2.674 3.704 -0.255
Bi -11.158 9.303 -2.867
Al -4.404 4.722 -2.639
N -4.229 4.730 -0.734